Model P:
First-principles (GGA+U) data for a relaxed structure of Mg6CrSiO8, as listed in the Materials Project.

Unit cell a=8.5681 b=4.3727 c=4.3727 alpha=90.00 beta=90.00 gamma=90.00
Sites, in units of the cell vectors:
Mg (0.2532, 0.0000, 0.5000)
Mg (0.2532, 0.5000, 0.0000)
Cr (0.5000, 0.0000, 0.0000)
O (0.7438, 0.0000, 0.0000)
Mg (0.7468, 0.0000, 0.5000)
O (0.2562, 0.0000, 0.0000)
Mg (0.0000, 0.5000, 0.5000)
Mg (0.5000, 0.5000, 0.5000)
Si (0.0000, 0.0000, 0.0000)
O (0.0000, 0.5000, 0.0000)
Mg (0.7468, 0.5000, 0.0000)
O (0.5000, 0.5000, 0.0000)
O (0.0000, 0.0000, 0.5000)
O (0.5000, 0.0000, 0.5000)
O (0.2487, 0.5000, 0.5000)
O (0.7513, 0.5000, 0.5000)

Results
Symmetry = No. 123

Model Q:
First-principles (GGA+U) data for a relaxed structure of Mg6CrSiO8, as listed in the Materials Project.

Unit cell a=8.9258 b=4.2880 c=4.2880 alpha=90.00 beta=90.00 gamma=90.00
Sites, in units of the cell vectors:
Cr (0.0000, 0.5000, 0.5000)
Mg (0.5000, 0.5000, 0.5000)
Mg (0.5000, 0.0000, 0.0000)
O (0.2625, 0.0000, 0.0000)
O (0.0000, 0.0000, 0.5000)
O (0.7375, 0.0000, 0.0000)
Si (0.0000, 0.0000, 0.0000)
Mg (0.7395, 0.0000, 0.5000)
O (0.7353, 0.5000, 0.5000)
O (0.5000, 0.0000, 0.5000)
Mg (0.2605, 0.5000, 0.0000)
O (0.2647, 0.5000, 0.5000)
Mg (0.2605, 0.0000, 0.5000)
Mg (0.7395, 0.5000, 0.0000)
O (0.5000, 0.5000, 0.0000)
O (0.0000, 0.5000, 0.0000)

Results
Symmetry = No. 123

Which of them is the most stable, and which is the least stable? model Q and model P, in that order.

Model P:
First-principles (GGA+U) data for a relaxed structure of MgMn6O10F2, as listed in the Materials Project.

Unit cell a=5.0676 b=7.5530 c=5.6589 alpha=98.05 beta=98.14 gamma=84.07
Sites, in units of the cell vectors:
O (0.6497, 0.0887, 0.8376)
O (0.3380, 0.9130, 0.1918)
O (0.1180, 0.2187, 0.0312)
O (0.3576, 0.2311, 0.4914)
O (0.1386, 0.8997, 0.7102)
O (0.3442, 0.5775, 0.8364)
Mn (0.9974, 0.6658, 0.6727)
Mn (0.4471, 0.9701, 0.5467)
Mn (0.0047, 0.3370, 0.3271)
Mn (0.5624, 0.3520, 0.7786)
O (0.8574, 0.7560, 0.9574)
Mn (0.5152, 0.6663, 0.1531)
F (0.1606, 0.5914, 0.3675)
F (0.8421, 0.0700, 0.3033)
Mg (0.4903, 0.1622, 0.1584)
O (0.6717, 0.7529, 0.4786)
Mn (0.9968, 0.9841, 0.9919)
O (0.6552, 0.4096, 0.1330)
O (0.8669, 0.4343, 0.6205)

Results
Symmetry = No. 1

Model Q:
First-principles (GGA+U) data for a relaxed structure of MgMn6O10F2, as listed in the Materials Project.

Unit cell a=5.0000 b=7.5185 c=5.6700 alpha=95.77 beta=95.75 gamma=87.30
Sites, in units of the cell vectors:
O (0.7972, 0.4278, 0.6551)
F (0.1394, 0.5718, 0.3790)
O (0.8605, 0.0870, 0.2642)
O (0.8285, 0.7797, 0.9976)
Mn (0.9846, 0.3216, 0.3450)
O (0.3108, 0.8953, 0.1855)
Mg (0.0026, 0.8351, 0.3468)
O (0.1454, 0.8734, 0.6927)
Mn (0.5027, 0.0052, 0.4844)
F (0.2127, 0.2221, 0.9911)
Mn (0.5240, 0.3350, 0.8187)
O (0.6943, 0.4240, 0.1291)
O (0.6991, 0.0978, 0.7776)
O (0.6720, 0.7626, 0.4639)
O (0.3214, 0.2385, 0.5167)
Mn (0.5150, 0.6615, 0.1498)
O (0.3158, 0.5528, 0.8715)
Mn (0.9698, 0.6477, 0.7214)
Mn (0.0043, 0.0024, 0.9599)

Results
Symmetry = No. 1

Which of them is the most stable, and which is the least stable? model P and model Q, in that order.

Model P:
First-principles (GGA+U) data for a relaxed structure of MgMn6O10F2, as listed in the Materials Project.

Unit cell a=8.0830 b=5.8726 c=5.6861 alpha=69.62 beta=66.10 gamma=64.39
Sites, in units of the cell vectors:
O (0.9441, 0.2107, 0.2384)
Mg (0.4965, 0.5160, 0.0002)
O (0.3257, 0.3594, 0.9764)
O (0.6652, 0.0241, 0.6578)
O (0.6698, 0.6450, 0.0473)
F (0.9887, 0.6950, 0.2936)
Mn (0.1307, 0.3080, 0.3217)
Mn (0.3191, 0.6681, 0.6343)
Mn (0.8642, 0.6895, 0.6936)
F (0.2899, 0.8574, 0.9068)
O (0.5892, 0.5492, 0.5988)
Mn (0.5194, 0.0111, 0.0273)
Mn (0.6699, 0.3235, 0.3731)
O (0.0444, 0.7997, 0.7566)
O (0.3288, 0.9726, 0.3646)
Mn (0.9798, 0.0320, 0.9841)
O (0.6923, 0.1507, 0.1109)
O (0.3920, 0.4549, 0.4112)
O (0.9979, 0.3282, 0.6866)

Results
Symmetry = No. 1

Model Q:
First-principles (GGA+U) data for a relaxed structure of MgMn6O10F2, as listed in the Materials Project.

Unit cell a=5.1488 b=7.5088 c=5.7502 alpha=97.60 beta=99.05 gamma=84.92
Sites, in units of the cell vectors:
O (0.1437, 0.2401, 0.0614)
Mn (0.5020, 0.6821, 0.1685)
O (0.6928, 0.7799, 0.4650)
F (0.1705, 0.5583, 0.3201)
F (0.8383, 0.7617, 0.9845)
Mn (0.0011, 0.0117, 0.0100)
O (0.3055, 0.5701, 0.8743)
Mn (0.5254, 0.0176, 0.4905)
O (0.8707, 0.4555, 0.6229)
Mn (0.4705, 0.3171, 0.8665)
O (0.3214, 0.2457, 0.5416)
O (0.6945, 0.4388, 0.1393)
Mg (0.9828, 0.4915, 0.9752)
O (0.6792, 0.0953, 0.8181)
Mn (0.0249, 0.6939, 0.6323)
O (0.8340, 0.1055, 0.3000)
O (0.2962, 0.9072, 0.2176)
Mn (0.9929, 0.3170, 0.3668)
O (0.1538, 0.9182, 0.7405)

Results
Symmetry = No. 1

Model R:
First-principles (GGA+U) data for a relaxed structure of MgMn6O10F2, as listed in the Materials Project.

Unit cell a=10.9655 b=6.7101 c=2.9812 alpha=90.12 beta=90.36 gamma=108.04
Sites, in units of the cell vectors:
O (0.5297, 0.2591, 0.4884)
O (0.6692, 0.0242, 0.9957)
O (0.1543, 0.1260, 0.4760)
Mn (0.3667, 0.7033, 0.9829)
Mn (0.9979, 0.9782, 0.0051)
Mn (0.6611, 0.8306, 0.4956)
O (0.3312, 0.9702, 0.9805)
Mn (0.6520, 0.3210, 0.9929)
O (0.9882, 0.6765, 0.9948)
F (0.8549, 0.9171, 0.5051)
Mg (0.1726, 0.3570, 0.9748)
O (0.2402, 0.5842, 0.4797)
O (0.6573, 0.6390, 0.9940)
O (0.9864, 0.3017, 0.9910)
O (0.7696, 0.3871, 0.4955)
Mn (0.3453, 0.1464, 0.4808)
F (0.3586, 0.3694, 0.9808)
Mn (0.9597, 0.4823, 0.4916)
O (0.4800, 0.7599, 0.4866)

Results
Symmetry = No. 1

Model S:
First-principles (GGA+U) data for a relaxed structure of MgMn6O10F2, as listed in the Materials Project.

Unit cell a=5.1057 b=7.5192 c=5.7108 alpha=98.07 beta=98.64 gamma=84.55
Sites, in units of the cell vectors:
Mn (0.9877, 0.6636, 0.6768)
F (0.1352, 0.5656, 0.3672)
Mn (0.9895, 0.9834, 0.9955)
O (0.6459, 0.0900, 0.8342)
Mg (0.5038, 0.1616, 0.1624)
O (0.3336, 0.5714, 0.8417)
O (0.6598, 0.7483, 0.4781)
O (0.8535, 0.4273, 0.6283)
O (0.1314, 0.8938, 0.7107)
Mn (0.5323, 0.6720, 0.1426)
O (0.6679, 0.4126, 0.1269)
O (0.3403, 0.9159, 0.1861)
O (0.8741, 0.0988, 0.2932)
O (0.3510, 0.2312, 0.4849)
O (0.8481, 0.7590, 0.9652)
Mn (0.9948, 0.3296, 0.3386)
F (0.1469, 0.2279, 0.0088)
Mn (0.5560, 0.3515, 0.7755)
Mn (0.4341, 0.9678, 0.5428)

Results
Symmetry = No. 1

Which of them is the most stable, and which is the least stable? model S and model R, in that order.

Model P:
First-principles (GGA+U) data for a relaxed structure of MgMn6O10F2, as listed in the Materials Project.

Unit cell a=11.1065 b=6.8425 c=2.9519 alpha=89.99 beta=90.01 gamma=106.66
Sites, in units of the cell vectors:
O (0.6324, 0.0125, 0.0116)
O (0.9690, 0.6629, 0.0113)
O (0.7587, 0.3639, 0.5114)
Mn (0.0443, 0.0311, 0.0105)
F (0.9037, 0.9639, 0.5114)
Mn (0.6403, 0.3031, 0.0112)
O (0.4445, 0.7077, 0.5108)
O (0.0292, 0.3213, 0.0107)
F (0.3264, 0.3539, 0.0105)
Mn (0.3427, 0.1551, 0.5104)
O (0.3478, 0.9792, 0.0104)
Mn (0.0250, 0.4971, 0.5107)
Mn (0.3282, 0.6810, 0.0107)
Mg (0.8283, 0.6636, 0.5118)
O (0.2110, 0.6274, 0.5106)
O (0.1573, 0.0588, 0.5103)
O (0.6914, 0.6778, 0.0114)
O (0.5232, 0.2854, 0.5110)
Mn (0.6280, 0.8315, 0.5117)

Results
Symmetry = No. 6

Model Q:
First-principles (GGA+U) data for a relaxed structure of MgMn6O10F2, as listed in the Materials Project.

Unit cell a=5.1112 b=7.5458 c=5.7220 alpha=98.25 beta=98.52 gamma=84.69
Sites, in units of the cell vectors:
O (0.3637, 0.5621, 0.8163)
F (0.1419, 0.5594, 0.3430)
O (0.8542, 0.7633, 0.9650)
O (0.3359, 0.2487, 0.5223)
O (0.6672, 0.0835, 0.8130)
Mg (0.5010, 0.4991, 0.4880)
F (0.1434, 0.2383, 0.0366)
O (0.8590, 0.0965, 0.2936)
Mn (0.9982, 0.6708, 0.6710)
Mn (0.9925, 0.9892, 0.9973)
O (0.8663, 0.4279, 0.6251)
O (0.6560, 0.4266, 0.1672)
O (0.6536, 0.7459, 0.4599)
Mn (0.4736, 0.3119, 0.8670)
Mn (0.9842, 0.3161, 0.3440)
O (0.3257, 0.9111, 0.1804)
Mn (0.5528, 0.6928, 0.1094)
Mn (0.4766, 0.9908, 0.5048)
O (0.1401, 0.8946, 0.7129)

Results
Symmetry = No. 1

Which of them is the most stable, and which is the least stable? model Q and model P, in that order.

Model P:
First-principles (GGA+U) data for a relaxed structure of LiMn6O4F8, as listed in the Materials Project.

Unit cell a=5.1443 b=7.9201 c=6.0525 alpha=95.49 beta=83.43 gamma=91.98
Sites, in units of the cell vectors:
O (0.6823, 0.7655, 0.4537)
F (0.8274, 0.0959, 0.3558)
F (0.1753, 0.5757, 0.3269)
F (0.1936, 0.2321, 0.0680)
Mn (0.4924, 0.3368, 0.8321)
Mn (0.9448, 0.6822, 0.6750)
O (0.3630, 0.1947, 0.5935)
O (0.7575, 0.7905, 0.9623)
F (0.7993, 0.4303, 0.5675)
F (0.7235, 0.1341, 0.8383)
F (0.2536, 0.5255, 0.7888)
Mn (0.5337, 0.9792, 0.5328)
Li (0.8204, 0.5497, 0.2921)
F (0.2990, 0.9111, 0.2239)
O (0.6184, 0.4739, 0.0686)
Mn (0.1339, 0.2996, 0.4102)
Mn (0.9786, 0.0012, 0.0223)
F (0.2306, 0.8874, 0.7277)
Mn (0.4781, 0.6927, 0.1357)

Results
Symmetry = No. 1

Model Q:
First-principles (GGA+U) data for a relaxed structure of LiMn6O4F8, as listed in the Materials Project.

Unit cell a=4.9662 b=7.9539 c=5.8480 alpha=92.73 beta=91.95 gamma=88.24
Sites, in units of the cell vectors:
F (0.6818, 0.0996, 0.7996)
Mn (0.9036, 0.6524, 0.7393)
O (0.8211, 0.7721, 0.0389)
F (0.2123, 0.5789, 0.3329)
Mn (0.5030, 0.0073, 0.4985)
F (0.1985, 0.2261, 0.0106)
Li (0.0247, 0.8092, 0.3505)
Mn (0.4900, 0.3350, 0.8107)
Mn (0.5693, 0.6491, 0.2024)
F (0.2879, 0.5579, 0.8265)
F (0.8241, 0.0909, 0.3029)
Mn (0.0220, 0.3332, 0.3102)
Mn (0.0029, 0.9946, 0.9778)
F (0.3116, 0.9107, 0.2049)
F (0.1736, 0.8953, 0.6685)
F (0.7898, 0.4236, 0.5905)
O (0.3234, 0.2280, 0.5300)
O (0.6787, 0.7810, 0.4909)
O (0.6956, 0.4301, 0.0748)

Results
Symmetry = No. 1

Which of them is the most stable, and which is the least stable? model Q and model P, in that order.